# 1
The following is a DFT calculation (GGA+U) of crystalline KMgMn4O8 at its relaxed geometry.

Geometry as CIF:
```
data_KMgMn4O8
_cell_length_a 2.998
_cell_length_b 7.421
_cell_length_c 7.686
_cell_angle_alpha 78.30
_cell_angle_beta 79.16
_cell_angle_gamma 81.00
_symmetry_space_group_name_H-M 'P 1'
_symmetry_Int_Tables_number 1
_symmetry_space_group_name_Hall 'P 1'
loop_
_atom_site_label
_atom_site_type_symbol
_atom_site_fract_x
_atom_site_fract_y
_atom_site_fract_z
K1 K 0.000 0.000 0.000
Mg1 Mg 0.764 0.272 0.271
Mn1 Mn 0.058 0.620 0.289
Mn2 Mn 0.226 0.895 0.590
Mn3 Mn 0.493 0.266 0.625
Mn4 Mn 0.715 0.532 0.918
O1 O 0.202 0.672 0.783
O2 O 0.225 0.160 0.451
O3 O 0.310 0.363 0.096
O4 O 0.557 0.480 0.417
O5 O 0.597 0.702 0.119
O6 O 0.624 0.994 0.721
O7 O 0.836 0.829 0.446
O8 O 0.871 0.332 0.768
```

Energy of formation from the pure elements   -2.01 eV per atom
Uncorrected energy   -6.78 eV per atom
Relative energy among the computed polymorphs   0 meV per atom


# 2
The following is a DFT calculation (GGA+U) of crystalline KMgMn4O8 at its relaxed geometry.

Geometry as CIF:
```
data_KMgMn4O8
_cell_length_a 6.096
_cell_length_b 6.138
_cell_length_c 6.407
_cell_angle_alpha 117.32
_cell_angle_beta 90.17
_cell_angle_gamma 119.74
_symmetry_space_group_name_H-M 'P -1'
_symmetry_Int_Tables_number 2
_symmetry_space_group_name_Hall '-P 1'
loop_
_atom_site_label
_atom_site_type_symbol
_atom_site_fract_x
_atom_site_fract_y
_atom_site_fract_z
K1 K 0.000 0.000 0.000
Mg1 Mg 0.500 0.000 0.000
Mn1 Mn 0.000 0.000 0.500
Mn2 Mn 0.000 0.500 0.500
Mn3 Mn 0.500 0.000 0.500
Mn4 Mn 0.500 0.500 0.500
O1 O 0.245 0.935 0.693
O2 O 0.250 0.498 0.702
O3 O 0.260 0.521 0.319
O4 O 0.309 0.065 0.308
```

Energy of formation from the pure elements   -1.98 eV per atom
Uncorrected energy   -6.75 eV per atom
Relative energy among the computed polymorphs   28 meV per atom


# 3
The following is a DFT calculation (GGA+U) of crystalline K4MgMn4O8 at its relaxed geometry.

Geometry as CIF:
```
data_K4MgMn4O8
_cell_length_a 6.571
_cell_length_b 6.572
_cell_length_c 7.756
_cell_angle_alpha 114.91
_cell_angle_beta 114.91
_cell_angle_gamma 90.18
_symmetry_space_group_name_H-M 'P 1'
_symmetry_Int_Tables_number 1
_symmetry_space_group_name_Hall 'P 1'
loop_
_atom_site_label
_atom_site_type_symbol
_atom_site_fract_x
_atom_site_fract_y
_atom_site_fract_z
K1 K 0.000 0.000 0.000
K2 K 0.031 0.049 0.565
K3 K 0.470 0.003 0.474
K4 K 0.955 0.469 0.907
Mg1 Mg 0.361 0.628 0.736
Mn1 Mn 0.439 0.468 0.381
Mn2 Mn 0.543 0.540 0.068
Mn3 Mn 0.557 0.061 0.091
Mn4 Mn 0.941 0.478 0.405
O1 O 0.206 0.314 0.470
O2 O 0.222 0.711 0.499
O3 O 0.315 0.739 0.003
O4 O 0.325 0.303 0.047
O5 O 0.681 0.726 0.972
O6 O 0.723 0.685 0.416
O7 O 0.725 0.279 0.425
O8 O 0.739 0.311 0.057
```

Energy of formation from the pure elements   -1.85 eV per atom
Uncorrected energy   -5.97 eV per atom
Relative energy among the computed polymorphs   23 meV per atom


# 4
The following is a DFT calculation (GGA+U) of crystalline KMgMn16O32 at its relaxed geometry.

Geometry as CIF:
```
data_KMgMn16O32
_cell_length_a 5.893
_cell_length_b 9.709
_cell_length_c 10.262
_cell_angle_alpha 91.39
_cell_angle_beta 90.39
_cell_angle_gamma 90.18
_symmetry_space_group_name_H-M 'P 1'
_symmetry_Int_Tables_number 1
_symmetry_space_group_name_Hall 'P 1'
loop_
_atom_site_label
_atom_site_type_symbol
_atom_site_fract_x
_atom_site_fract_y
_atom_site_fract_z
K1 K 0.000 0.000 0.000
Mg1 Mg 0.266 0.514 0.354
Mn1 Mn 0.008 0.153 0.340
Mn2 Mn 0.012 0.837 0.658
Mn3 Mn 0.015 0.666 0.140
Mn4 Mn 0.017 0.326 0.847
Mn5 Mn 0.262 0.164 0.644
Mn6 Mn 0.263 0.650 0.832
Mn7 Mn 0.263 0.828 0.348
Mn8 Mn 0.264 0.331 0.150
Mn9 Mn 0.506 0.153 0.337
Mn10 Mn 0.512 0.839 0.660
Mn11 Mn 0.516 0.324 0.850
Mn12 Mn 0.516 0.669 0.138
Mn13 Mn 0.762 0.165 0.644
Mn14 Mn 0.762 0.818 0.354
Mn15 Mn 0.763 0.649 0.832
Mn16 Mn 0.765 0.348 0.164
O1 O 0.011 0.948 0.349
O2 O 0.012 0.036 0.648
O3 O 0.013 0.296 0.655
O4 O 0.013 0.643 0.707
O5 O 0.014 0.681 0.952
O6 O 0.019 0.309 0.032
O7 O 0.032 0.362 0.284
O8 O 0.039 0.676 0.333
O9 O 0.258 0.144 0.207
O10 O 0.261 0.177 0.458
O11 O 0.262 0.800 0.155
O12 O 0.262 0.844 0.786
O13 O 0.263 0.192 0.835
O14 O 0.263 0.809 0.539
O15 O 0.267 0.453 0.846
O16 O 0.267 0.537 0.145
O17 O 0.483 0.357 0.293
O18 O 0.499 0.681 0.332
O19 O 0.508 0.955 0.348
O20 O 0.511 0.644 0.707
O21 O 0.512 0.036 0.648
O22 O 0.512 0.296 0.659
O23 O 0.515 0.680 0.951
O24 O 0.516 0.311 0.037
O25 O 0.757 0.178 0.458
O26 O 0.760 0.154 0.214
O27 O 0.760 0.809 0.542
O28 O 0.763 0.543 0.137
O29 O 0.764 0.453 0.846
O30 O 0.766 0.844 0.786
O31 O 0.767 0.192 0.834
O32 O 0.768 0.797 0.160
```

Energy of formation from the pure elements   -1.90 eV per atom
Uncorrected energy   -7.08 eV per atom
Relative energy among the computed polymorphs   0 meV per atom


# 5
The following is a DFT calculation (GGA+U) of crystalline KMg6MnO8 at its relaxed geometry.

Geometry as CIF:
```
data_KMg6MnO8
_cell_length_a 4.496
_cell_length_b 4.496
_cell_length_c 8.564
_cell_angle_alpha 90.00
_cell_angle_beta 90.00
_cell_angle_gamma 90.00
_symmetry_space_group_name_H-M 'P 4/m m m'
_symmetry_Int_Tables_number 123
_symmetry_space_group_name_Hall '-P 4 2'
loop_
_atom_site_label
_atom_site_type_symbol
_atom_site_fract_x
_atom_site_fract_y
_atom_site_fract_z
K1 K 0.000 0.000 0.000
Mg1 Mg 0.000 0.500 0.246
Mg2 Mg 0.500 0.500 0.000
Mg3 Mg 0.500 0.500 0.500
Mn1 Mn 0.000 0.000 0.500
O1 O 0.000 0.000 0.280
O2 O 0.000 0.500 0.000
O3 O 0.000 0.500 0.500
O4 O 0.500 0.500 0.253
```

Energy of formation from the pure elements   -2.52 eV per atom
Uncorrected energy   -5.79 eV per atom
Relative energy among the computed polymorphs   0 meV per atom


# 6
The following is a DFT calculation (GGA+U) of crystalline K4MgMn4O8 at its relaxed geometry.

Geometry as CIF:
```
data_K4MgMn4O8
_cell_length_a 3.092
_cell_length_b 6.719
_cell_length_c 13.025
_cell_angle_alpha 96.55
_cell_angle_beta 91.22
_cell_angle_gamma 90.56
_symmetry_space_group_name_H-M 'P 1'
_symmetry_Int_Tables_number 1
_symmetry_space_group_name_Hall 'P 1'
loop_
_atom_site_label
_atom_site_type_symbol
_atom_site_fract_x
_atom_site_fract_y
_atom_site_fract_z
K1 K 0.000 0.000 0.000
K2 K 0.015 0.788 0.407
K3 K 0.483 0.162 0.687
K4 K 0.501 0.572 0.154
Mg1 Mg 0.967 0.587 0.615
Mn1 Mn 0.030 0.296 0.433
Mn2 Mn 0.487 0.719 0.781
Mn3 Mn 0.508 0.102 0.249
Mn4 Mn 0.996 0.467 0.918
O1 O 0.003 0.916 0.207
O2 O 0.011 0.304 0.261
O3 O 0.458 0.511 0.522
O4 O 0.497 0.297 0.951
O5 O 0.499 0.672 0.937
O6 O 0.527 0.092 0.412
O7 O 0.981 0.852 0.703
O8 O 0.984 0.476 0.754
```

Energy of formation from the pure elements   -1.87 eV per atom
Uncorrected energy   -5.99 eV per atom
Relative energy among the computed polymorphs   0 meV per atom


# 7
The following is a DFT calculation (GGA+U) of crystalline KMgMn16O32 at its relaxed geometry.

Geometry as CIF:
```
data_KMgMn16O32
_cell_length_a 5.905
_cell_length_b 9.988
_cell_length_c 10.285
_cell_angle_alpha 90.41
_cell_angle_beta 90.01
_cell_angle_gamma 90.02
_symmetry_space_group_name_H-M 'P 1'
_symmetry_Int_Tables_number 1
_symmetry_space_group_name_Hall 'P 1'
loop_
_atom_site_label
_atom_site_type_symbol
_atom_site_fract_x
_atom_site_fract_y
_atom_site_fract_z
K1 K 0.000 0.000 0.000
Mg1 Mg 0.499 0.505 0.997
Mn1 Mn 0.000 0.155 0.339
Mn2 Mn 0.000 0.340 0.848
Mn3 Mn 0.000 0.663 0.149
Mn4 Mn 0.000 0.854 0.657
Mn5 Mn 0.245 0.666 0.826
Mn6 Mn 0.245 0.838 0.354
Mn7 Mn 0.246 0.342 0.166
Mn8 Mn 0.247 0.172 0.643
Mn9 Mn 0.500 0.152 0.336
Mn10 Mn 0.500 0.856 0.661
Mn11 Mn 0.501 0.310 0.841
Mn12 Mn 0.501 0.698 0.156
Mn13 Mn 0.753 0.342 0.166
Mn14 Mn 0.754 0.172 0.643
Mn15 Mn 0.754 0.666 0.826
Mn16 Mn 0.756 0.838 0.354
O1 O 0.000 0.318 0.042
O2 O 0.000 0.346 0.290
O3 O 0.000 0.663 0.701
O4 O 0.000 0.684 0.946
O5 O 0.000 0.713 0.357
O6 O 0.001 0.048 0.648
O7 O 0.001 0.303 0.655
O8 O 0.001 0.964 0.348
O9 O 0.230 0.200 0.832
O10 O 0.230 0.806 0.167
O11 O 0.245 0.858 0.784
O12 O 0.246 0.150 0.212
O13 O 0.252 0.177 0.456
O14 O 0.253 0.837 0.542
O15 O 0.258 0.467 0.852
O16 O 0.261 0.537 0.142
O17 O 0.500 0.315 0.039
O18 O 0.500 0.342 0.288
O19 O 0.500 0.666 0.704
O20 O 0.500 0.693 0.954
O21 O 0.500 0.962 0.343
O22 O 0.501 0.050 0.656
O23 O 0.501 0.297 0.657
O24 O 0.501 0.713 0.341
O25 O 0.738 0.537 0.142
O26 O 0.741 0.467 0.852
O27 O 0.747 0.837 0.542
O28 O 0.749 0.178 0.456
O29 O 0.754 0.149 0.213
O30 O 0.755 0.858 0.784
O31 O 0.771 0.807 0.167
O32 O 0.772 0.199 0.832
```

Energy of formation from the pure elements   -1.86 eV per atom
Uncorrected energy   -7.04 eV per atom
Relative energy among the computed polymorphs   36 meV per atom


# 8
The following is a DFT calculation (GGA+U) of crystalline KMg6MnO8 at its relaxed geometry.

Geometry as CIF:
```
data_KMg6MnO8
_cell_length_a 4.404
_cell_length_b 4.404
_cell_length_c 8.851
_cell_angle_alpha 90.00
_cell_angle_beta 90.00
_cell_angle_gamma 90.00
_symmetry_space_group_name_H-M 'P 4/m m m'
_symmetry_Int_Tables_number 123
_symmetry_space_group_name_Hall '-P 4 2'
loop_
_atom_site_label
_atom_site_type_symbol
_atom_site_fract_x
_atom_site_fract_y
_atom_site_fract_z
K1 K 0.000 0.000 0.000
Mg1 Mg 0.000 0.000 0.500
Mg2 Mg 0.000 0.500 0.261
Mg3 Mg 0.500 0.500 0.500
Mn1 Mn 0.500 0.500 0.000
O1 O 0.000 0.000 0.276
O2 O 0.000 0.500 0.000
O3 O 0.000 0.500 0.500
O4 O 0.500 0.500 0.249
```

Energy of formation from the pure elements   -2.50 eV per atom
Uncorrected energy   -5.77 eV per atom
Relative energy among the computed polymorphs   23 meV per atom


Copy entry 3 word for word.
The following is a DFT calculation (GGA+U) of crystalline K4MgMn4O8 at its relaxed geometry.

Geometry as CIF:
```
data_K4MgMn4O8
_cell_length_a 6.571
_cell_length_b 6.572
_cell_length_c 7.756
_cell_angle_alpha 114.91
_cell_angle_beta 114.91
_cell_angle_gamma 90.18
_symmetry_space_group_name_H-M 'P 1'
_symmetry_Int_Tables_number 1
_symmetry_space_group_name_Hall 'P 1'
loop_
_atom_site_label
_atom_site_type_symbol
_atom_site_fract_x
_atom_site_fract_y
_atom_site_fract_z
K1 K 0.000 0.000 0.000
K2 K 0.031 0.049 0.565
K3 K 0.470 0.003 0.474
K4 K 0.955 0.469 0.907
Mg1 Mg 0.361 0.628 0.736
Mn1 Mn 0.439 0.468 0.381
Mn2 Mn 0.543 0.540 0.068
Mn3 Mn 0.557 0.061 0.091
Mn4 Mn 0.941 0.478 0.405
O1 O 0.206 0.314 0.470
O2 O 0.222 0.711 0.499
O3 O 0.315 0.739 0.003
O4 O 0.325 0.303 0.047
O5 O 0.681 0.726 0.972
O6 O 0.723 0.685 0.416
O7 O 0.725 0.279 0.425
O8 O 0.739 0.311 0.057
```

Energy of formation from the pure elements   -1.85 eV per atom
Uncorrected energy   -5.97 eV per atom
Relative energy among the computed polymorphs   23 meV per atom